[1]
Material: Ba5Y8Mn4O21
Method: DFT, PBE with a Hubbard U
State: optimized geometry

Unit cell a=14.0455 b=14.0455 c=5.8139 alpha=90.00 beta=90.00 gamma=90.00
Space group I4/m (No. 87)
Unique sites:
Ba1 0.0000 0.0000 0.0000 x2
Ba2 0.0337 0.3608 0.5000 x8
Y1 0.0897 0.8593 0.5000 x8
Y2 0.1698 0.2487 0.0000 x8
Mn1 0.0403 0.7519 0.0000 x8
O1 0.0000 0.0000 0.5000 x2
O2 0.0384 0.3727 0.0000 x8
O3 0.0480 0.1774 0.2511 x16
O4 0.1495 0.7439 0.2509 x16

As for the raw total energy: -609.103 eV per cell. For the total moment, the calculation gives 20.00 μB/f.u.

[2]
Material: Li2Si5Ni2O13
Method: DFT, PBE with a Hubbard U
State: optimized geometry

Unit cell a=7.5370 b=7.6559 c=9.7794 alpha=83.58 beta=68.16 gamma=71.75
Space group P-1 (No. 2)
Unique sites:
Li1 0.1551 0.3999 0.2404 x2
Li2 0.2111 0.0713 0.3494 x2
Si1 0.1649 0.2165 0.7570 x2
Si2 0.2083 0.6927 0.5475 x2
Si3 0.2505 0.7571 0.2314 x2
Si4 0.3112 0.4537 0.9057 x2
Si5 0.3796 0.2920 0.4481 x2
Ni1 0.0384 0.1445 0.0981 x2
Ni2 0.4129 0.8311 0.9052 x2
O1 0.0140 0.7757 0.6893 x2
O2 0.0609 0.6845 0.2490 x2
O3 0.1660 0.0465 0.8746 x2
O4 0.2091 0.8273 0.3993 x2
O5 0.2096 0.4944 0.4966 x2
O6 0.2181 0.6766 0.9288 x2
O7 0.2208 0.3889 0.7962 x2
O8 0.2747 0.9283 0.1192 x2
O9 0.2880 0.3148 0.0450 x2
O10 0.3120 0.1507 0.5866 x2
O11 0.3834 0.2150 0.3000 x2
O12 0.4090 0.6790 0.5752 x2
O13 0.4452 0.5780 0.1854 x2

As for the raw total energy: -306.338 eV per cell. For the total moment, the calculation gives 4.00 μB/f.u.

[3]
Material: Sr2VO4
Method: DFT, PBE with a Hubbard U
State: optimized geometry

Unit cell a=14.6934 b=5.9689 c=10.6654 alpha=90.00 beta=90.00 gamma=90.00
Space group Pna2_1 (No. 33)
Unique sites:
Sr1 0.0256 0.2225 0.1043 x4
Sr2 0.0958 0.2298 0.7372 x4
Sr3 0.1482 0.7035 0.3534 x4
Sr4 0.2072 0.6895 0.0000 x4
V1 0.0279 0.2619 0.4418 x4
V2 0.2273 0.7771 0.7060 x4
O1 0.0156 0.4649 0.8864 x4
O2 0.0259 0.0395 0.3274 x4
O3 0.0468 0.8226 0.0741 x4
O4 0.1341 0.3531 0.5112 x4
O5 0.1467 0.8578 0.5861 x4
O6 0.1642 0.4062 0.1574 x4
O7 0.2030 0.9738 0.8360 x4
O8 0.2341 0.5050 0.7827 x4

As for the offset from the most stable computed form: 11 meV per atom. For the total moment, the calculation gives 1.00 μB/f.u.

[4]
Material: LiFe3P3H2O12
Method: DFT, PBE with a Hubbard U
State: optimized geometry

Unit cell a=11.8843 b=12.6126 c=6.5665 alpha=90.00 beta=114.18 gamma=90.00
Space group C2/c (No. 15)
Unique sites:
Li1 0.0000 0.0013 0.2500 x4
Fe1 0.0000 0.2881 0.2500 x4
Fe2 0.2086 0.1632 0.1200 x8
P1 0.0000 0.3227 0.7500 x4
P2 0.2076 0.1085 0.6036 x8
H1 0.1250 0.4953 0.3128 x8
O1 0.0349 0.2534 0.9641 x8
O2 0.1103 0.3946 0.7691 x8
O3 0.1376 0.0028 0.5761 x8
O4 0.1503 0.4141 0.3495 x8
O5 0.1512 0.1712 0.3809 x8
O6 0.2081 0.1755 0.7980 x8

As for the raw total energy: -567.814 eV per cell. For the total moment, the calculation gives 12.00 μB/f.u.